Here is crystalline GdCBr at its relaxed geometry from the Materials Project database. Energies are from PBE-GGA.

The structure in POSCAR format:
```
GdCBr
1.0
3.562 -1.938 0.000
3.562 1.938 0.000
-0.858 0.000 10.092
Gd C Br
2 2 2
Direct
0.145 0.145 0.145
0.855 0.855 0.855
0.425 0.425 0.035
0.575 0.575 0.965
0.175 0.175 0.668
0.825 0.825 0.332
```

## Properties
space group = C2/m, No. 12
energy of formation = -1269.9 meV per atom

Here is crystalline GdCBr at its relaxed geometry from the Materials Project database. Energies are from PBE-GGA.

The structure in POSCAR format:
```
GdCBr
1.0
3.556 -1.935 0.000
3.556 1.935 0.000
-1.813 0.000 10.162
Gd C Br
2 2 2
Direct
0.090 0.090 0.354
0.910 0.910 0.646
0.412 0.412 0.464
0.588 0.588 0.536
0.300 0.300 0.832
0.700 0.700 0.168
```

## Properties
space group = C2/m, No. 12
energy of formation = -1270.3 meV per atom

Here is crystalline ZnSi3GeH35C13BrO at its relaxed geometry from the Materials Project database. Energies are from PBE-GGA.

The structure in POSCAR format:
```
ZnSi3GeH35C13BrO
1.0
10.114 0.000 0.000
-1.387 10.935 0.000
-3.730 -1.026 13.277
Zn Si Ge H C Br O
2 6 2 70 26 2 2
Direct
0.096 0.131 0.089
0.904 0.869 0.911
0.090 0.726 0.733
0.253 0.127 0.381
0.270 0.447 0.261
0.730 0.553 0.739
0.747 0.873 0.619
0.910 0.274 0.267
0.137 0.247 0.251
0.863 0.753 0.749
0.027 0.583 0.576
0.046 0.995 0.406
0.049 0.739 0.547
0.106 0.517 0.800
0.113 0.921 0.316
0.117 0.529 0.110
0.130 0.577 0.337
0.147 0.161 0.837
0.153 0.313 0.889
0.174 0.635 0.899
0.184 0.944 0.720
0.196 0.666 0.601
0.201 0.928 0.447
0.213 0.233 0.533
0.226 0.907 0.848
0.252 0.463 0.078
0.266 0.530 0.433
0.272 0.603 0.814
0.288 0.610 0.146
0.303 0.648 0.356
0.318 0.853 0.765
0.345 0.246 0.787
0.357 0.150 0.566
0.376 0.295 0.516
0.380 0.375 0.875
0.394 0.028 0.284
0.398 0.082 0.044
0.439 0.238 0.094
0.442 0.729 0.031
0.466 0.028 0.416
0.481 0.128 0.904
0.482 0.467 0.695
0.492 0.165 0.355
0.494 0.382 0.246
0.495 0.403 0.374
0.505 0.597 0.626
0.506 0.618 0.754
0.508 0.835 0.645
0.518 0.533 0.305
0.519 0.872 0.096
0.534 0.972 0.584
0.558 0.271 0.969
0.561 0.762 0.906
0.602 0.918 0.956
0.606 0.972 0.716
0.620 0.625 0.125
0.624 0.705 0.484
0.643 0.850 0.434
0.655 0.754 0.213
0.682 0.147 0.235
0.697 0.352 0.644
0.712 0.390 0.854
0.728 0.397 0.186
0.734 0.470 0.567
0.748 0.537 0.922
0.774 0.093 0.152
0.787 0.767 0.467
0.799 0.072 0.553
0.804 0.334 0.399
0.816 0.056 0.280
0.826 0.365 0.101
0.847 0.687 0.111
0.853 0.839 0.163
0.870 0.423 0.663
0.883 0.471 0.890
0.887 0.079 0.684
0.894 0.483 0.200
0.951 0.261 0.453
0.954 0.005 0.594
0.973 0.417 0.424
0.089 0.673 0.602
0.142 0.979 0.387
0.167 0.609 0.820
0.214 0.236 0.889
0.215 0.872 0.770
0.227 0.518 0.136
0.238 0.560 0.356
0.304 0.210 0.511
0.351 0.274 0.865
0.392 0.178 0.025
0.417 0.084 0.356
0.459 0.211 0.940
0.462 0.440 0.300
0.538 0.560 0.700
0.541 0.789 0.060
0.583 0.916 0.644
0.608 0.822 0.975
0.649 0.726 0.135
0.696 0.790 0.489
0.762 0.440 0.644
0.773 0.482 0.864
0.785 0.128 0.230
0.786 0.764 0.111
0.833 0.391 0.180
0.858 0.021 0.613
0.911 0.327 0.398
0.121 0.903 0.061
0.879 0.097 0.939
0.247 0.195 0.990
0.753 0.805 0.010
```

## Properties
magnetization = 0.00 μB/cell
space group = P-1, No. 2
energy of formation = -235.9 meV per atom

Here is crystalline HgH4C4Br4N2 at its relaxed geometry from the Materials Project database. Energies are from PBE-GGA.

The structure in POSCAR format:
```
HgH4C4Br4N2
1.0
8.870 0.000 0.000
0.000 12.295 0.000
-8.860 0.000 14.977
Hg H C Br N
4 16 16 16 8
Direct
0.226 0.153 0.402
0.226 0.347 0.902
0.774 0.653 0.098
0.774 0.847 0.598
0.096 0.238 0.082
0.096 0.262 0.582
0.270 0.696 0.157
0.270 0.804 0.657
0.271 0.031 0.610
0.271 0.469 0.110
0.333 0.687 0.488
0.333 0.813 0.988
0.667 0.187 0.012
0.667 0.313 0.512
0.729 0.531 0.890
0.729 0.969 0.390
0.730 0.196 0.343
0.730 0.304 0.843
0.904 0.738 0.418
0.904 0.762 0.918
0.128 0.563 0.400
0.128 0.937 0.900
0.150 0.646 0.341
0.150 0.854 0.841
0.442 0.003 0.297
0.442 0.497 0.797
0.468 0.004 0.758
0.468 0.496 0.258
0.532 0.504 0.742
0.532 0.996 0.242
0.558 0.503 0.203
0.558 0.997 0.703
0.850 0.146 0.159
0.850 0.354 0.659
0.872 0.063 0.100
0.872 0.437 0.600
0.125 0.510 0.944
0.125 0.990 0.444
0.170 0.705 0.632
0.170 0.795 0.132
0.269 0.206 0.104
0.269 0.294 0.604
0.352 0.183 0.878
0.352 0.317 0.378
0.648 0.683 0.622
0.648 0.817 0.122
0.731 0.706 0.396
0.731 0.794 0.896
0.830 0.205 0.868
0.830 0.295 0.368
0.875 0.010 0.556
0.875 0.490 0.056
0.238 0.648 0.431
0.238 0.852 0.931
0.387 0.016 0.670
0.387 0.484 0.170
0.613 0.516 0.830
0.613 0.984 0.330
0.762 0.148 0.069
0.762 0.352 0.569
```

## Properties
magnetization = 0.01 μB/cell
space group = P2_1/c, No. 14
energy of formation = 648.1 meV per atom